Entry 1:
# GGA-PBE OsN2, optimized geometry
data_OsN2
_chemical_formula_sum 'Os2 N4'
_space_group_name_H-M_alt 'P 4/m b m'
_space_group_IT_number 127
_space_group_name_Hall '-P 4 2ab'
_cell_length_a 4.426
_cell_length_b 4.426
_cell_length_c 2.669
_cell_angle_alpha 90.00
_cell_angle_beta 90.00
_cell_angle_gamma 90.00
loop_
_atom_site_label
_atom_site_fract_x
_atom_site_fract_y
_atom_site_fract_z
Os1 0.000 0.000 0.000
N1 0.112 0.388 0.500
# Crystal system = tetragonal
# Polymorph energy (0 for the lowest one) = 0.8633 eV/atom

Entry 2:
# GGA-PBE FeAgTe2, optimized geometry
data_FeAgTe2
_chemical_formula_sum 'Fe3 Ag3 Te6'
_space_group_name_H-M_alt 'P -3 m 1'
_space_group_IT_number 164
_space_group_name_Hall '-P 3 2"'
_cell_length_a 8.0193
_cell_length_b 8.0193
_cell_length_c 5.2011
_cell_angle_alpha 90.00
_cell_angle_beta 90.00
_cell_angle_gamma 120.00
loop_
_atom_site_label
_atom_site_fract_x
_atom_site_fract_y
_atom_site_fract_z
Fe1 0.0000 0.5000 0.0000
Ag1 0.0000 0.0000 0.5000
Ag2 0.3333 0.6667 0.6804
Te1 0.1863 0.3726 0.2521
# Crystal system = trigonal

Calculated formation energy? In order: 0.92; -0.05 eV per atom.